1.
A relaxed LiVCrO4 crystal, computed with PBE+U.

## Properties
The calculated density is 3828 kg/m3. The space group is No. 1.

```
21
Lattice="5.2671 0.0000 0.0000 -0.1835 5.9136 0.0000 -2.5058 -1.2765 7.2656" Properties=species:S:1:pos:R:3 pbc="T T T"
O 0.6604 1.6870 6.1241
O -1.6486 3.2108 5.9311
O -0.1851 3.0564 3.7247
O 2.7647 1.5785 3.5705
O 1.9174 0.1081 1.1441
O 1.9436 2.8613 1.1782
O 0.6796 4.6010 6.0901
O -0.2338 0.1430 3.6885
O 4.2054 1.4179 1.3024
O 2.7817 4.5004 3.5767
O 3.9792 4.5992 1.2288
O -1.4059 0.0249 6.0599
V -0.8161 4.5940 4.8044
V 3.3927 0.0184 2.4721
V 0.1941 0.2603 7.2006
Li 1.7374 3.0678 4.8503
Li 0.8556 1.5902 2.3916
Li -0.1831 5.8940 0.0121
Cr 3.5292 3.0207 2.3800
Cr 2.4028 4.4446 0.0429
Cr -0.9769 1.6068 4.8824
```


2.
A relaxed LiVCrO4 crystal, computed with PBE+U.

## Properties
The calculated density is 3918 kg/m3. The space group is No. 15.

```
14
Lattice="-2.8363 2.9462 4.2316 -0.2516 -5.8987 0.0586 2.8159 -2.9657 4.2316" Properties=species:S:1:pos:R:3 pbc="T T T"
O -0.1776 -3.0685 6.4625
O 1.4595 -4.4589 4.3670
O -0.2803 -5.7301 6.5120
O -1.7315 -1.4594 4.1547
O 0.0083 -0.1882 2.0097
O 1.2571 -7.3546 4.2043
O -0.0944 -2.8498 2.0592
O -1.5291 1.4363 4.3174
V 1.1564 -7.3816 2.1744
V 2.6901 -5.9151 4.2609
Li -1.4182 1.4731 2.1158
Li -0.1360 -2.9592 4.2609
Cr 1.2719 -4.4420 6.3767
Cr -3.0878 -2.9526 4.2901
```


3.
A relaxed LiVCrO4 crystal, computed with PBE+U.

## Properties
The calculated density is 3876 kg/m3. The space group is No. 12.

```
14
Lattice="-2.0360 5.1403 -2.2553 -4.1302 -0.0319 -4.2586 -3.4461 -3.2773 3.5405" Properties=species:S:1:pos:R:3 pbc="T T T"
O -4.0300 4.1325 -2.3971
O -5.5822 -2.3015 -0.5764
O -5.5607 2.6511 -0.8153
O -4.6552 0.0275 0.3047
O -6.5042 0.0398 -1.6029
O -3.1080 1.7913 -1.3705
O -4.0515 -0.8201 -2.1581
O -4.9570 1.8035 -3.2782
Cr -5.8532 -1.6705 -2.4883
Cr -6.5291 -0.7231 0.2835
Li -1.4660 0.8666 -0.6535
Li -8.1462 0.9644 -2.3199
V -4.8061 0.9155 -1.4867
V -3.7881 -1.6546 -0.3591
```


4.
A relaxed LiVCrO4 crystal, computed with PBE+U.

## Properties
The calculated density is 3987 kg/m3. The space group is No. 74.

```
14
Lattice="3.0293 5.0050 -0.0880 3.0293 1.5854 4.7481 3.0293 -1.5853 -4.7481" Properties=species:S:1:pos:R:3 pbc="T T T"
O 4.5439 4.1058 1.2404
O 6.0535 3.3654 -1.2474
O 4.5440 0.8992 -1.3284
O 4.5439 2.5381 3.4575
O 3.0343 1.6397 1.1594
O 3.0344 3.3654 -1.2474
O 6.0535 1.6396 1.1594
O 4.5439 2.4670 -3.5456
Cr 3.0295 1.7099 -2.4180
Cr 6.0584 1.7098 -2.4181
V 7.5732 4.1294 -0.7072
V 1.5146 0.8755 0.6191
Li 4.5439 0.7927 2.3740
Li 4.5439 2.5025 -0.0440
```


So which one is most stable? That would be 3, about 63 meV per atom below the next structure.


1.
A relaxed Lu2MgCr2O8 crystal, computed with PBE+U.

## Properties
The calculated density is 6020 kg/m3. The space group is No. 5.

```
13
Lattice="5.8639 -0.0845 -1.6642 -3.3713 4.8236 -1.6744 0.0075 0.0012 5.9689" Properties=species:S:1:pos:R:3 pbc="T T T"
O -1.6688 3.3596 1.4373
O 4.0337 1.4172 1.3817
O 1.1590 1.2763 1.7598
O -1.3003 4.1585 -1.6057
O 2.2359 3.2352 -2.1291
O 3.6369 0.4724 4.2170
O 1.5467 3.5615 0.9269
O 0.3754 1.5134 4.5955
Cr 4.7088 0.5200 2.7925
Cr -2.1498 4.3362 0.0452
Lu 0.1025 2.9926 2.8211
Lu 2.3269 1.6125 -0.4366
Mg 3.0495 2.9773 2.0395
```


2.
A relaxed Lu2MgCr2O8 crystal, computed with PBE+U.

## Properties
The calculated density is 6077 kg/m3. The space group is No. 1.

```
13
Lattice="-1.7681 -3.9543 -3.9431 3.5064 -2.1646 4.6269 -5.2890 2.4470 2.1217" Properties=species:S:1:pos:R:3 pbc="T T T"
O 0.0972 -1.0004 3.4271
O 0.6148 -1.7769 0.4733
O 1.0120 -4.3357 0.6427
O -5.6144 -0.6271 -0.1349
O 2.1838 -2.8572 2.8999
O -1.5403 -3.0866 1.9334
O -2.1017 -0.7759 0.7958
O -3.5177 -2.6669 -1.1122
Cr 1.6266 -1.6520 4.2261
Cr -5.2475 -2.0130 -1.1789
Lu -1.3722 -2.5731 -0.3808
Lu -2.1100 -1.1079 2.9728
Mg 0.4142 -3.0311 2.0747
```


So which one is most stable? That would be 2, about 16 meV per atom below the next structure.